Entry 1:
# MnBr2

A relaxed structure of MnBr2 (GGA-PBE, the Materials Project). Values from VASP.

Cell and atoms, written as Quantum ESPRESSO input:
```
&SYSTEM
  ibrav = 0, nat = 3, ntyp = 2
/
ATOMIC_SPECIES
Br 79.90 Br.upf
Mn 54.94 Mn.upf
ATOMIC_POSITIONS angstrom
Br 1.949 1.125 1.502
Mn 0.000 0.000 0.000
Br 1.949 -1.125 5.582
CELL_PARAMETERS angstrom
1.949 -3.376 0.000
1.949 3.376 0.000
0.000 0.000 7.084
```

symmetry = P-3m1
formation energy from the elements = -1169 meV/atom


Entry 2:
# Co2PS3

A relaxed structure of Co2PS3 (GGA-PBE, the Materials Project). Values from VASP.

Cell and atoms, written as Quantum ESPRESSO input:
```
&SYSTEM
  ibrav = 0, nat = 12, ntyp = 3
/
ATOMIC_SPECIES
P 30.97 P.upf
Co 58.93 Co.upf
S 32.06 S.upf
ATOMIC_POSITIONS angstrom
P 2.518 0.762 5.234
Co 1.410 2.463 6.226
Co 1.472 -1.245 5.307
Co 0.170 -2.436 1.849
S 3.030 -1.941 3.782
P -1.357 -3.769 2.858
S -0.103 -0.585 6.834
S -0.396 1.880 4.910
S -1.861 -1.078 4.294
Co -1.855 -3.219 4.992
S 0.416 -3.288 5.402
S 0.124 -0.825 3.476
CELL_PARAMETERS angstrom
-2.103 2.947 4.092
-1.952 -4.535 2.262
4.650 -0.624 2.840
```

spin magnetization = 1.010 μB/f.u.
symmetry = P2_1
formation energy from the elements = -690 meV/atom


Entry 3:
# Na3Hf2Ti2SiP5O24

A relaxed structure of Na3Hf2Ti2SiP5O24 (GGA-PBE, the Materials Project). Values from VASP.

Cell and atoms, written as Quantum ESPRESSO input:
```
&SYSTEM
  ibrav = 0, nat = 111, ntyp = 6
/
ATOMIC_SPECIES
P 30.97 P.upf
O 16.00 O.upf
Hf 178.49 Hf.upf
Na 22.99 Na.upf
Ti 47.87 Ti.upf
Si 28.09 Si.upf
ATOMIC_POSITIONS angstrom
P -2.503 5.117 9.300
O 3.777 0.886 14.426
O -0.870 6.375 21.855
Hf 4.450 2.546 4.253
Hf 4.396 2.543 22.039
Hf 4.364 2.524 10.682
O 0.569 1.480 9.205
O 2.758 2.393 16.725
O 1.488 0.075 13.191
O 5.452 1.186 0.651
O 7.195 0.174 18.132
O 3.359 3.910 14.312
O -2.794 7.413 4.406
O -0.587 3.584 5.778
O 2.619 7.382 15.480
O 3.815 0.995 20.712
O 0.686 6.497 8.102
O 1.059 1.313 18.132
O 3.381 1.214 5.552
O -1.599 4.949 8.063
O -0.645 1.485 4.413
Na 0.163 0.000 11.168
O 3.450 1.212 11.812
O -0.915 3.800 12.895
O -2.783 7.357 20.600
Na -0.002 4.875 14.987
P -1.213 2.171 5.673
O 3.394 6.290 20.582
O 0.821 6.263 17.076
Na -1.227 7.589 16.912
O -3.338 6.274 15.713
O 5.076 1.013 9.387
O 5.050 0.940 3.125
O 5.471 3.851 3.191
O 7.815 1.297 13.214
Ti 4.404 7.614 7.958
O -0.589 1.540 20.596
Na 0.084 0.105 0.071
Ti 0.006 5.072 7.010
Hf 4.411 7.592 14.545
O 1.672 5.164 21.983
O 3.746 4.060 5.560
O 5.057 4.003 16.773
O 5.134 6.054 18.183
O -0.574 6.419 12.860
O 2.685 2.262 0.634
P -3.104 5.362 16.953
P 1.307 7.213 9.324
O 5.193 1.253 16.813
O -3.391 6.380 9.203
O 3.712 4.090 11.819
O -1.015 6.308 5.775
O 0.972 3.812 1.712
P 2.479 5.050 20.688
Na 4.405 2.537 7.476
O 2.846 7.346 9.191
Ti -0.055 5.077 11.642
O 1.571 5.334 5.781
O -0.745 6.570 19.300
Hf 8.757 -0.001 19.282
Hf 4.414 2.525 15.415
O 0.631 3.575 10.572
Na -0.132 5.061 3.791
O 0.738 6.491 1.713
P 1.231 2.242 16.918
P -1.256 2.933 20.636
P -1.253 7.221 20.613
P 6.985 2.593 13.051
P 5.717 0.312 1.889
O -1.489 4.982 1.683
O 3.732 6.179 6.871
O 3.395 6.269 4.341
Si 1.802 7.580 16.872
P 3.069 4.731 13.046
P 1.195 2.893 9.310
Ti 0.050 0.006 3.336
O 5.014 6.266 2.121
P -1.905 7.570 5.678
Na 2.836 5.296 1.833
O 2.739 2.768 9.382
O -1.618 5.280 10.576
O 2.748 2.792 3.087
O 7.251 0.156 2.061
O 6.061 2.292 5.579
O 3.650 6.162 13.185
O 1.598 0.134 6.920
Na 1.549 7.385 13.133
Si 5.723 4.795 1.897
Si 3.080 0.265 13.071
Na 4.493 2.611 18.755
P 3.111 5.473 5.640
Ti -0.079 5.084 0.481
O -1.569 5.222 17.061
O 0.893 3.747 8.054
P 1.817 2.522 1.880
O 6.072 2.360 11.841
O 3.342 3.765 20.678
O -0.720 3.635 21.908
O 0.583 3.620 17.079
O 1.535 4.881 12.905
O 6.028 2.779 20.733
O 0.640 1.568 15.664
O 7.904 1.325 6.923
O 4.925 4.149 0.628
O 1.024 6.425 10.631
O 1.568 4.962 19.425
O 6.126 2.795 14.319
Ti 0.049 5.070 18.310
O 0.899 1.305 2.098
O -0.944 3.740 19.369
O 5.430 3.872 9.402
CELL_PARAMETERS angstrom
8.818 0.008 -0.008
-4.402 7.612 -0.002
-0.020 -0.017 22.503
```

spin magnetization = 0.000 μB/f.u.
symmetry = P1
formation energy from the elements = -3124 meV/atom


Entry 4:
# NaH2SNO3

A relaxed structure of NaH2SNO3 (GGA-PBE, the Materials Project). Values from VASP.

Cell and atoms, written as Quantum ESPRESSO input:
```
&SYSTEM
  ibrav = 0, nat = 96, ntyp = 5
/
ATOMIC_SPECIES
O 16.00 O.upf
Na 22.99 Na.upf
N 14.01 N.upf
S 32.06 S.upf
H 1.01 H.upf
ATOMIC_POSITIONS angstrom
O 4.347 12.087 11.066
Na 2.440 9.142 12.770
O 3.269 7.776 2.514
N 0.053 12.703 7.415
S 2.733 8.084 9.751
O 2.110 11.063 11.200
Na 3.205 2.721 12.030
N 3.596 10.378 0.763
O 1.339 4.787 2.272
O 2.681 8.962 8.582
O 4.161 1.635 14.261
O 4.932 8.201 5.333
O 0.460 12.192 3.019
O 1.689 3.774 10.533
H 3.334 9.842 16.447
H 0.056 0.581 6.685
Na 0.036 10.074 10.272
S 5.566 0.615 2.511
N 2.686 12.260 9.112
O 2.375 1.354 5.753
S 2.912 1.663 15.049
O 0.132 9.324 12.836
Na 3.162 5.759 3.825
O 2.690 3.519 4.569
H 2.878 5.840 9.848
Na 0.340 0.662 12.708
O 4.306 11.208 5.994
H 2.766 12.262 14.952
O 1.134 9.069 2.266
N 5.592 6.282 0.852
H 1.905 0.090 16.243
S 0.517 4.115 11.377
S 5.555 11.180 6.782
O 3.888 8.406 10.630
O 5.503 10.302 7.952
N 4.871 2.465 9.029
O 1.298 5.666 13.734
O 4.579 4.436 2.363
Na 2.482 12.181 4.441
S 2.901 12.228 10.778
H 0.057 1.865 9.176
O 2.964 2.540 16.218
H 5.075 12.808 0.423
H 5.589 7.002 1.581
N 2.875 6.561 9.118
H 5.609 1.538 0.503
O 4.511 2.647 6.000
O 1.484 8.056 10.539
O 2.955 9.940 3.697
H 0.918 12.753 7.977
O 5.198 5.067 10.780
Na 5.305 7.083 12.092
Na 2.786 2.768 2.005
Na 0.382 3.701 4.503
N 0.136 0.583 0.845
N 2.049 3.957 7.504
H 5.588 8.286 15.624
O 2.363 0.651 11.285
O 5.512 2.903 11.964
N 5.509 7.004 7.421
H 0.511 9.422 0.087
O 3.956 10.195 14.267
Na 5.262 10.122 3.764
H 2.765 10.978 0.910
S 0.078 7.036 5.756
H 2.786 4.883 16.030
H 3.740 6.511 8.557
O 4.120 0.756 2.800
H 2.311 3.421 8.353
O 3.535 4.641 13.600
N 2.958 5.839 15.688
O 5.185 5.770 5.248
O 0.142 3.881 0.315
H 4.727 6.332 0.290
O 1.525 7.177 5.467
N 0.774 8.886 15.771
H 0.570 6.387 7.844
O 3.282 7.073 13.515
H 5.133 3.001 8.180
H 0.036 7.959 7.764
S 3.339 2.306 5.157
H 3.392 0.035 8.690
H 2.252 6.456 16.110
Na 2.859 9.190 6.261
S 0.090 4.759 1.485
H 2.858 11.305 8.770
H 2.879 4.556 7.357
O 0.447 11.488 14.020
S 2.305 8.728 3.110
O 0.713 1.780 2.934
Na 5.608 3.653 14.528
S 5.128 10.537 13.423
N 2.770 0.140 15.682
S 2.744 5.806 14.022
O 1.065 10.858 5.904
O 1.757 1.985 14.170
CELL_PARAMETERS angstrom
5.645 0.000 0.000
0.000 12.843 0.000
0.000 0.000 16.533
```

spin magnetization = 0.000 μB/f.u.
symmetry = P2_12_12_1
energy above the most stable polymorph in this dataset = 146 meV per atom
formation energy from the elements = -1230 meV/atom


Entry 5:
# Y3B6Os8

A relaxed structure of Y3B6Os8 (GGA-PBE, the Materials Project). Values from VASP.

Cell and atoms, written as Quantum ESPRESSO input:
```
&SYSTEM
  ibrav = 0, nat = 17, ntyp = 3
/
ATOMIC_SPECIES
B 10.81 B.upf
Os 190.23 Os.upf
Y 88.91 Y.upf
ATOMIC_POSITIONS angstrom
B -6.283 3.358 8.817
B -5.799 3.812 11.860
Os -2.122 2.144 7.144
Os -6.825 5.269 13.050
Os -6.673 5.657 15.844
B -3.302 3.214 5.541
B -2.967 4.065 11.669
Os -2.428 1.369 1.557
B -6.134 2.961 5.731
Y 0.000 0.000 0.000
Os -2.275 1.756 4.350
Os -4.474 3.707 10.095
Os -6.978 4.882 10.257
B -2.818 3.668 8.584
Y -4.244 4.291 14.302
Os -4.626 3.319 7.306
Y -4.857 2.735 3.099
CELL_PARAMETERS angstrom
-4.282 0.788 9.064
0.210 3.939 8.381
-5.028 2.299 -0.044
```

spin magnetization = 0.001 μB/f.u.
symmetry = Fmmm
formation energy from the elements = -373 meV/atom


Entry 6:
# Rb3Rh

A relaxed structure of Rb3Rh (GGA-PBE, the Materials Project). Values from VASP.

Cell and atoms, written as Quantum ESPRESSO input:
```
&SYSTEM
  ibrav = 0, nat = 4, ntyp = 2
/
ATOMIC_SPECIES
Rh 102.91 Rh.upf
Rb 85.47 Rb.upf
ATOMIC_POSITIONS angstrom
Rh 0.000 0.000 0.000
Rb -0.211 -10.233 -4.294
Rb -0.141 -6.822 -2.863
Rb -0.070 -3.411 -1.431
CELL_PARAMETERS angstrom
2.560 -3.719 -4.015
0.538 -5.886 1.250
-3.380 -4.038 -2.961
```

spin magnetization = 0.000 μB/f.u.
symmetry = Fm-3m
formation energy from the elements = 646 meV/atom


Entry 7:
# KSrMg14

A relaxed structure of KSrMg14 (GGA-PBE, the Materials Project). Values from VASP.

Cell and atoms, written as Quantum ESPRESSO input:
```
&SYSTEM
  ibrav = 0, nat = 16, ntyp = 3
/
ATOMIC_SPECIES
Mg 24.30 Mg.upf
K 39.10 K.upf
Sr 87.62 Sr.upf
ATOMIC_POSITIONS angstrom
Mg -2.641 2.569 1.816
Mg -4.984 1.697 -0.327
Mg -4.948 -2.919 4.043
Mg -5.464 -1.285 1.372
Mg -3.084 -0.399 3.548
Mg -5.252 -0.035 5.767
K -2.341 -0.275 0.115
Mg -5.802 -0.115 8.949
Mg -7.318 -3.798 1.878
Mg -7.873 -3.702 4.991
Mg -7.628 -0.920 3.594
Mg -5.493 -2.817 7.167
Mg -8.181 -0.992 6.794
Mg -3.264 2.432 5.137
Mg -5.633 1.565 2.966
Sr -4.712 -1.150 -2.049
CELL_PARAMETERS angstrom
-0.606 5.748 3.437
-4.736 -1.762 -4.330
-5.235 -5.254 7.863
```

spin magnetization = 0.025 μB/f.u.
symmetry = Amm2
energy above the most stable polymorph in this dataset = 9 meV per atom
formation energy from the elements = 121 meV/atom


Entry 8:
# U7Te24O70

A relaxed structure of U7Te24O70 (GGA-PBE, the Materials Project). Values from VASP.

Cell and atoms, written as Quantum ESPRESSO input:
```
&SYSTEM
  ibrav = 0, nat = 101, ntyp = 3
/
ATOMIC_SPECIES
Te 127.60 Te.upf
O 16.00 O.upf
U 238.03 U.upf
ATOMIC_POSITIONS angstrom
Te -9.993 -3.012 1.779
O -5.694 -3.569 -4.914
O -8.292 -4.989 -7.839
O -6.495 -9.946 -1.493
O -10.586 -10.279 1.486
Te -4.218 -5.889 -1.523
O -6.588 -9.056 -6.735
O -5.760 -2.316 3.745
O -12.360 -6.207 -3.839
O -4.932 -6.226 -3.319
Te -8.450 -0.506 4.385
O -8.624 -9.474 -3.361
O -12.321 -3.330 -3.539
Te -6.659 -1.579 -2.820
O -11.901 -9.125 -3.904
O -8.225 -1.894 -7.462
U -4.155 -0.403 3.968
Te -6.481 -8.367 -0.287
O -8.317 -2.734 2.936
O -10.626 0.385 -4.347
O -12.242 -0.626 2.203
O -2.476 -4.716 -0.200
O -6.859 -4.154 -0.893
Te -6.841 -7.182 -3.970
Te -14.061 -7.784 0.343
Te -8.384 -9.688 -6.577
O -12.952 -6.164 0.515
U -3.939 0.972 -4.087
O -10.245 -2.896 -5.475
O -3.956 -10.549 -0.001
O -12.167 -2.306 -1.065
O -2.334 -9.473 -1.890
U -4.478 -6.069 2.991
Te -14.189 -1.035 -2.239
Te -10.175 -8.614 0.628
O -9.975 -6.040 -1.299
Te -2.661 -3.390 1.161
U -4.262 -4.694 -5.063
O -7.809 -1.970 -4.517
Te -10.353 -1.827 -1.904
O -8.609 -8.300 5.270
Te -4.459 -0.190 0.085
O -4.667 -7.888 -1.127
O -8.515 -9.281 -0.177
O -10.246 -1.138 4.543
O -13.418 -8.125 -1.747
O -6.589 -7.298 3.283
O -11.140 -6.625 2.722
Te -10.182 -9.112 4.551
O -8.210 -0.720 1.169
O -10.280 -5.340 -4.947
O -9.025 -8.224 2.325
O -8.517 -7.460 -5.128
O -14.369 -3.660 -0.240
O -7.213 -7.180 -1.603
Te -6.652 -1.082 -6.743
Te -10.404 -7.181 -4.281
O -10.821 -3.848 3.379
O -10.339 -0.248 -0.699
O -11.074 -7.878 -5.937
O -4.933 -1.069 1.712
Te -14.173 -6.804 -3.353
O -7.915 -1.891 5.705
Te -2.645 -9.159 0.047
O -6.013 -6.346 -5.571
O -8.542 -5.205 5.648
O -4.207 -1.249 -3.024
O -14.358 -5.478 -1.992
O -3.882 -4.030 -2.706
U -8.417 -5.097 -1.096
O -12.878 0.355 -2.190
U -8.093 0.569 -0.120
O -9.127 -4.625 1.211
O -3.416 -2.068 -0.445
Te -2.774 -2.410 -2.534
U -0.324 -5.666 -0.976
O -6.115 -0.746 -0.825
O -7.784 0.445 -6.163
O -14.500 -0.721 -0.302
O -4.592 -9.568 -4.394
O -12.627 -8.945 0.833
Te -6.430 -3.013 2.089
O -6.248 0.085 -3.678
O -6.554 -4.854 2.755
O -8.919 -8.303 -7.897
O -9.050 -10.639 3.971
O -2.465 -6.534 -1.952
O -4.513 -6.864 1.347
O -10.719 -9.448 -1.367
O -4.474 -3.987 1.648
O -9.180 -3.648 -2.931
O -7.654 -6.546 0.739
O -7.707 -5.569 -3.402
Te -12.375 -10.004 -2.277
O -9.621 -3.013 -0.589
O -11.902 -3.968 1.127
O -6.208 -10.579 2.155
Te -8.189 -6.362 2.570
Te -12.616 -4.305 -0.669
O -8.319 -0.913 -2.015
Te -8.645 -3.832 -4.762
CELL_PARAMETERS angstrom
-7.877 1.945 -8.174
-0.647 -11.333 -1.952
-8.309 -0.806 7.935
```

spin magnetization = 1.797 μB/f.u.
symmetry = R-3
formation energy from the elements = -2050 meV/atom


Q: Among the records above, which one has the lowest formation energy from the elements?
A: Na3Hf2Ti2SiP5O24


Q: Which of these has the lowest formation energy from the elements?
A: Na3Hf2Ti2SiP5O24


Q: Among the records above, which one has the highest formation energy from the elements?
A: Rb3Rh


Q: Number 1 is which compound?
A: MnBr2